(1)
Crystalline Li3Al3P3H2O14F at its relaxed geometry. Source: Materials Project, functional PBE.

Summary:
Energy relative to the elements: -2.853 eV/atom
E: -175.263 eV/f.u.
SG: No. 1

Unit cell a=5.0885 b=7.1370 c=14.2133 alpha=90.62 beta=93.25 gamma=106.84
Element x y z (fractional)
Li (0.0000, 0.0000, 0.0000)
Li (0.1379, 0.6312, 0.0739)
Li (0.3315, 0.3284, 0.3302)
Li (0.4906, 0.9791, 0.3999)
Li (0.6725, 0.6707, 0.6679)
Li (0.8177, 0.2986, 0.7402)
Al (0.2382, 0.9858, 0.2003)
Al (0.2563, 0.9912, 0.6987)
Al (0.5812, 0.3228, 0.0317)
Al (0.5839, 0.3225, 0.5330)
Al (0.9093, 0.6530, 0.3661)
Al (0.9169, 0.6530, 0.8680)
P (0.1837, 0.5966, 0.5715)
P (0.3143, 0.3777, 0.8265)
P (0.5174, 0.9309, 0.9030)
P (0.6361, 0.7123, 0.1583)
P (0.8429, 0.2648, 0.2360)
P (0.9810, 0.0452, 0.4943)
H (0.0066, 0.4028, 0.9614)
H (0.3291, 0.7365, 0.2920)
H (0.4850, 0.5695, 0.4382)
H (0.6808, 0.0732, 0.6275)
O (0.0172, 0.1209, 0.2508)
O (0.1367, 0.5182, 0.8112)
O (0.1658, 0.2002, 0.7607)
O (0.1853, 0.6502, 0.4657)
O (0.2087, 0.8195, 0.3047)
O (0.2176, 0.8398, 0.9327)
O (0.2805, 0.1335, 0.4648)
O (0.3138, 0.3220, 0.9321)
O (0.3364, 0.7745, 0.6369)
O (0.3535, 0.4510, 0.5880)
O (0.4547, 0.8506, 0.1432)
O (0.4893, 0.5344, 0.0925)
O (0.5141, 0.9909, 0.7994)
O (0.5440, 0.1704, 0.2660)
O (0.5570, 0.1557, 0.6384)
O (0.6080, 0.4868, 0.4258)
O (0.6128, 0.4733, 0.7967)
O (0.6409, 0.6595, 0.2639)
O (0.6647, 0.1053, 0.9714)
O (0.6913, 0.7870, 0.9178)
O (0.8118, 0.1911, 0.4779)
O (0.8284, 0.8685, 0.4283)
O (0.8373, 0.3259, 0.1330)
O (0.8839, 0.4864, 0.9718)
O (0.8838, 0.5114, 0.6005)
O (0.9338, 0.8101, 0.1278)
O (0.9800, 0.9894, 0.6000)
O (0.9927, 0.4387, 0.3041)
F (0.2903, 0.1466, 0.0919)
F (0.9671, 0.8118, 0.7588)

***

(2)
Crystalline Cr8Co7 at its relaxed geometry. Source: Materials Project, functional PBE.

Summary:
Energy relative to the elements: 0.106 eV/atom
E: -125.389 eV/f.u.
SG: No. 102

Unit cell a=8.5843 b=8.5843 c=4.5109 alpha=90.00 beta=90.00 gamma=90.00
Element x y z (fractional)
Cr (0.0349, 0.3693, 0.9996)
Cr (0.1000, 0.1000, 0.0000)
Cr (0.1307, 0.5349, 0.4996)
Cr (0.1893, 0.8107, 0.7423)
Cr (0.3107, 0.3107, 0.2423)
Cr (0.3693, 0.0349, 0.9996)
Cr (0.4000, 0.6000, 0.5000)
Cr (0.4651, 0.8693, 0.4996)
Cr (0.5349, 0.1307, 0.4996)
Cr (0.6000, 0.4000, 0.5000)
Cr (0.6307, 0.9651, 0.9996)
Cr (0.6893, 0.6893, 0.2423)
Cr (0.8107, 0.1893, 0.7423)
Cr (0.8693, 0.4651, 0.4996)
Cr (0.9000, 0.9000, 0.0000)
Cr (0.9651, 0.6307, 0.9996)
Co (0.0000, 0.0000, 0.5085)
Co (0.0642, 0.2618, 0.5053)
Co (0.1800, 0.8200, 0.2426)
Co (0.2382, 0.5642, 0.0053)
Co (0.2618, 0.0642, 0.5053)
Co (0.3200, 0.3200, 0.7426)
Co (0.4358, 0.7618, 0.0053)
Co (0.5000, 0.5000, 0.0085)
Co (0.5642, 0.2382, 0.0053)
Co (0.6800, 0.6800, 0.7426)
Co (0.7382, 0.9358, 0.5053)
Co (0.7618, 0.4358, 0.0053)
Co (0.8200, 0.1800, 0.2426)
Co (0.9358, 0.7382, 0.5053)

***

(3)
Crystalline Li4GeS4 at its relaxed geometry. Source: Materials Project, functional PBE.

Summary:
Energy relative to the elements: -1.284 eV/atom
Relative energy among the computed polymorphs: 0.4 meV per atom
E: -38.348 eV/f.u.
SG: No. 19

Unit cell a=6.1913 b=7.8133 c=14.1679 alpha=90.00 beta=90.00 gamma=90.00
Element x y z (fractional)
Li (0.0231, 0.2354, 0.2518)
Li (0.1286, 0.0012, 0.6624)
Li (0.1902, 0.7502, 0.4264)
Li (0.1914, 0.2502, 0.4280)
Li (0.3086, 0.7498, 0.9280)
Li (0.3098, 0.2498, 0.9264)
Li (0.3714, 0.9988, 0.1624)
Li (0.4769, 0.7646, 0.7518)
Li (0.5231, 0.2646, 0.7482)
Li (0.6286, 0.4988, 0.3376)
Li (0.6902, 0.7498, 0.5736)
Li (0.6914, 0.2498, 0.5720)
Li (0.8086, 0.7502, 0.0720)
Li (0.8098, 0.2502, 0.0736)
Li (0.8714, 0.5012, 0.8376)
Li (0.9769, 0.7354, 0.2482)
Ge (0.1490, 0.4990, 0.6609)
Ge (0.3510, 0.5010, 0.1609)
Ge (0.6490, 0.0010, 0.3391)
Ge (0.8510, 0.9990, 0.8391)
S (0.2109, 0.9995, 0.8358)
S (0.2169, 0.7361, 0.0936)
S (0.2200, 0.2641, 0.0936)
S (0.2302, 0.4994, 0.3117)
S (0.2698, 0.5006, 0.8117)
S (0.2800, 0.7359, 0.5936)
S (0.2831, 0.2639, 0.5936)
S (0.2891, 0.0005, 0.3358)
S (0.7109, 0.5005, 0.1642)
S (0.7169, 0.7639, 0.9064)
S (0.7200, 0.2359, 0.9064)
S (0.7302, 0.0006, 0.6883)
S (0.7698, 0.9994, 0.1883)
S (0.7800, 0.7641, 0.4064)
S (0.7831, 0.2361, 0.4064)
S (0.7891, 0.4995, 0.6642)

***

(4)
Crystalline CuClO at its relaxed geometry. Source: Materials Project, functional PBE.

Summary:
Energy relative to the elements: -0.612 eV/atom
Relative energy among the computed polymorphs: 0.0 meV per atom
E: -12.046 eV/f.u.
SG: No. 33

Unit cell a=10.9734 b=6.6857 c=12.8317 alpha=90.00 beta=90.00 gamma=90.00
Element x y z (fractional)
Cu (0.0396, 0.0261, 0.0000)
Cu (0.0594, 0.5282, 0.0229)
Cu (0.1750, 0.3017, 0.5463)
Cu (0.2240, 0.6958, 0.4728)
Cu (0.2760, 0.1958, 0.9728)
Cu (0.3250, 0.8017, 0.0463)
Cu (0.4406, 0.0282, 0.5229)
Cu (0.4604, 0.5261, 0.5000)
Cu (0.5396, 0.4739, 0.0000)
Cu (0.5594, 0.9718, 0.0229)
Cu (0.6750, 0.1983, 0.5463)
Cu (0.7240, 0.8042, 0.4728)
Cu (0.7760, 0.3042, 0.9728)
Cu (0.8250, 0.6983, 0.0463)
Cu (0.9406, 0.4718, 0.5229)
Cu (0.9604, 0.9739, 0.5000)
Cl (0.0274, 0.7368, 0.7022)
Cl (0.1199, 0.9296, 0.3933)
Cl (0.1565, 0.7449, 0.8145)
Cl (0.2197, 0.5732, 0.1296)
Cl (0.2803, 0.0732, 0.6296)
Cl (0.3435, 0.2449, 0.3145)
Cl (0.3801, 0.4296, 0.8933)
Cl (0.4726, 0.2368, 0.2022)
Cl (0.5274, 0.7632, 0.7022)
Cl (0.6199, 0.5704, 0.3933)
Cl (0.6565, 0.7551, 0.8145)
Cl (0.7197, 0.9268, 0.1296)
Cl (0.7803, 0.4268, 0.6296)
Cl (0.8435, 0.2551, 0.3145)
Cl (0.8801, 0.0704, 0.8933)
Cl (0.9726, 0.2632, 0.2022)
O (0.0129, 0.2178, 0.5552)
O (0.0992, 0.5060, 0.4710)
O (0.1125, 0.2826, 0.9709)
O (0.2003, 0.9872, 0.0449)
O (0.2997, 0.4872, 0.5449)
O (0.3875, 0.7826, 0.4709)
O (0.4008, 0.0060, 0.9710)
O (0.4871, 0.7178, 0.0552)
O (0.5129, 0.2822, 0.5552)
O (0.5992, 0.9940, 0.4710)
O (0.6125, 0.2174, 0.9709)
O (0.7003, 0.5128, 0.0449)
O (0.7997, 0.0128, 0.5449)
O (0.8875, 0.7174, 0.4709)
O (0.9008, 0.4940, 0.9710)
O (0.9871, 0.7822, 0.0552)

***

(5)
Crystalline Na2InHgF6 at its relaxed geometry. Source: Materials Project, functional PBE.

Summary:
Energy relative to the elements: -2.349 eV/atom
E: -37.904 eV/f.u.
SG: No. 225

Unit cell a=6.4460 b=6.4460 c=6.4460 alpha=60.00 beta=60.00 gamma=60.00
Element x y z (fractional)
Na (0.2500, 0.2500, 0.2500)
Na (0.7500, 0.7500, 0.7500)
In (0.0000, 0.0000, 0.0000)
Hg (0.5000, 0.5000, 0.5000)
F (0.2311, 0.2311, 0.7689)
F (0.2311, 0.7689, 0.2311)
F (0.2311, 0.7689, 0.7689)
F (0.7689, 0.2311, 0.2311)
F (0.7689, 0.2311, 0.7689)
F (0.7689, 0.7689, 0.2311)

***

(6)
Crystalline MnNi2Sb at its relaxed geometry. Source: Materials Project, functional PBE.

Summary:
Energy relative to the elements: -0.052 eV/atom
E: -24.865 eV/f.u.
SG: No. 216

Unit cell a=4.2678 b=4.2678 c=4.2678 alpha=60.00 beta=60.00 gamma=60.00
Element x y z (fractional)
Mn (0.0000, 0.0000, 0.0000)
Ni (0.5000, 0.5000, 0.5000)
Ni (0.7500, 0.7500, 0.7500)
Sb (0.2500, 0.2500, 0.2500)

***

(7)
Crystalline Zn3P2O12 at its relaxed geometry. Source: Materials Project, functional PBE.

Summary:
Energy relative to the elements: -1.221 eV/atom
Relative energy among the computed polymorphs: 269.0 meV per atom
E: -94.740 eV/f.u.
SG: No. 62

Unit cell a=10.9761 b=17.5415 c=4.9542 alpha=90.00 beta=90.00 gamma=90.00
Element x y z (fractional)
Zn (0.1468, 0.0074, 0.1699)
Zn (0.1468, 0.4926, 0.1699)
Zn (0.1682, 0.7500, 0.0168)
Zn (0.3318, 0.2500, 0.5168)
Zn (0.3532, 0.5074, 0.6699)
Zn (0.3532, 0.9926, 0.6699)
Zn (0.6468, 0.0074, 0.3301)
Zn (0.6468, 0.4926, 0.3301)
Zn (0.6682, 0.7500, 0.4832)
Zn (0.8318, 0.2500, 0.9832)
Zn (0.8532, 0.5074, 0.8301)
Zn (0.8532, 0.9926, 0.8301)
P (0.0987, 0.5942, 0.6656)
P (0.0987, 0.9058, 0.6656)
P (0.4013, 0.0942, 0.1656)
P (0.4013, 0.4058, 0.1656)
P (0.5987, 0.5942, 0.8344)
P (0.5987, 0.9058, 0.8344)
P (0.9013, 0.0942, 0.3344)
P (0.9013, 0.4058, 0.3344)
O (0.0313, 0.0881, 0.2246)
O (0.0313, 0.4119, 0.2246)
O (0.0897, 0.7500, 0.3656)
O (0.1070, 0.5877, 0.3562)
O (0.1070, 0.9123, 0.3562)
O (0.1295, 0.2500, 0.8752)
O (0.1586, 0.6708, 0.7482)
O (0.1586, 0.8292, 0.7482)
O (0.1698, 0.1879, 0.7673)
O (0.1698, 0.3121, 0.7673)
O (0.1799, 0.5279, 0.7918)
O (0.1799, 0.9721, 0.7918)
O (0.3201, 0.0279, 0.2918)
O (0.3201, 0.4721, 0.2918)
O (0.3302, 0.6879, 0.2673)
O (0.3302, 0.8121, 0.2673)
O (0.3414, 0.1708, 0.2482)
O (0.3414, 0.3292, 0.2482)
O (0.3705, 0.7500, 0.3752)
O (0.3930, 0.0877, 0.8562)
O (0.3930, 0.4123, 0.8562)
O (0.4103, 0.2500, 0.8656)
O (0.4687, 0.5881, 0.7246)
O (0.4687, 0.9119, 0.7246)
O (0.5313, 0.0881, 0.2754)
O (0.5313, 0.4119, 0.2754)
O (0.5897, 0.7500, 0.1344)
O (0.6070, 0.5877, 0.1438)
O (0.6070, 0.9123, 0.1438)
O (0.6295, 0.2500, 0.6248)
O (0.6586, 0.6708, 0.7518)
O (0.6586, 0.8292, 0.7518)
O (0.6698, 0.1879, 0.7327)
O (0.6698, 0.3121, 0.7327)
O (0.6799, 0.5279, 0.7082)
O (0.6799, 0.9721, 0.7082)
O (0.8201, 0.0279, 0.2082)
O (0.8201, 0.4721, 0.2082)
O (0.8302, 0.6879, 0.2327)
O (0.8302, 0.8121, 0.2327)
O (0.8414, 0.1708, 0.2518)
O (0.8414, 0.3292, 0.2518)
O (0.8705, 0.7500, 0.1248)
O (0.8930, 0.0877, 0.6438)
O (0.8930, 0.4123, 0.6438)
O (0.9103, 0.2500, 0.6344)
O (0.9687, 0.5881, 0.7754)
O (0.9687, 0.9119, 0.7754)

***

(8)
Crystalline Cr3GeN at its relaxed geometry. Source: Materials Project, functional PBE.

Summary:
Energy relative to the elements: -0.317 eV/atom
E: -43.141 eV/f.u.
SG: No. 113

Unit cell a=5.3310 b=5.3310 c=4.0102 alpha=90.00 beta=90.00 gamma=90.00
Element x y z (fractional)
Cr (0.0000, 0.0000, 0.0000)
Cr (0.2084, 0.2916, 0.5777)
Cr (0.2916, 0.7916, 0.4223)
Cr (0.5000, 0.5000, 0.0000)
Cr (0.7084, 0.2084, 0.4223)
Cr (0.7916, 0.7084, 0.5777)
Ge (0.0000, 0.5000, 0.0545)
Ge (0.5000, 0.0000, 0.9455)
N (0.0000, 0.0000, 0.5000)
N (0.5000, 0.5000, 0.5000)

***

(9)
Crystalline LiSbPO2F6 at its relaxed geometry. Source: Materials Project, functional PBE.

Summary:
Energy relative to the elements: -2.727 eV/atom
E: -58.683 eV/f.u.
SG: No. 1

Unit cell a=6.1357 b=7.6210 c=8.0837 alpha=91.35 beta=104.37 gamma=95.19
Element x y z (fractional)
Li (0.0000, 0.0000, 0.0000)
Li (0.3694, 0.3821, 0.6192)
Sb (0.2034, 0.8892, 0.6778)
Sb (0.3008, 0.4132, 0.1550)
P (0.4900, 0.8284, 0.1526)
P (0.9571, 0.4665, 0.7774)
O (0.1632, 0.3963, 0.9007)
O (0.2856, 0.8996, 0.0523)
O (0.5092, 0.6292, 0.1415)
O (0.9264, 0.6557, 0.7732)
F (0.0154, 0.8537, 0.4465)
F (0.0759, 0.5556, 0.1893)
F (0.1057, 0.2033, 0.1687)
F (0.3215, 0.1362, 0.6128)
F (0.3240, 0.6122, 0.6602)
F (0.4370, 0.4136, 0.3956)
F (0.5277, 0.2794, 0.1121)
F (0.5489, 0.8893, 0.3433)
F (0.7059, 0.9071, 0.0978)
F (0.7439, 0.3582, 0.8132)
F (0.9519, 0.3764, 0.6014)
F (0.9620, 0.0149, 0.7619)

***

(10)
Crystalline HfNbC2 at its relaxed geometry. Source: Materials Project, functional PBE.

Summary:
Energy relative to the elements: -0.726 eV/atom
E: -41.422 eV/f.u.
SG: No. 166

Unit cell a=5.6150 b=5.6150 c=5.6150 alpha=33.41 beta=33.41 gamma=33.41
Element x y z (fractional)
Hf (0.0000, 0.0000, 0.0000)
Nb (0.5000, 0.5000, 0.5000)
C (0.2481, 0.2481, 0.2481)
C (0.7519, 0.7519, 0.7519)

***

(11)
Crystalline CaV2S5 at its relaxed geometry. Source: Materials Project, functional PBE.

Summary:
Energy relative to the elements: -1.296 eV/atom
E: -48.711 eV/f.u.
SG: No. 59

Unit cell a=4.2359 b=14.2466 c=5.9537 alpha=90.00 beta=90.00 gamma=90.00
Element x y z (fractional)
Ca (0.2500, 0.2500, 0.1257)
Ca (0.7500, 0.7500, 0.8743)
V (0.2500, 0.5975, 0.3937)
V (0.2500, 0.9025, 0.3937)
V (0.7500, 0.0975, 0.6063)
V (0.7500, 0.4025, 0.6063)
S (0.2500, 0.0698, 0.4444)
S (0.2500, 0.4302, 0.4444)
S (0.2500, 0.6215, 0.0400)
S (0.2500, 0.7500, 0.5391)
S (0.2500, 0.8785, 0.0400)
S (0.7500, 0.1215, 0.9600)
S (0.7500, 0.2500, 0.4609)
S (0.7500, 0.3785, 0.9600)
S (0.7500, 0.5698, 0.5556)
S (0.7500, 0.9302, 0.5556)